Compound: Mg2CoB2Ir5
Source: the Materials Project
Functional: PBE
Structure: optimized geometry

## Properties
Total magnetization, μB/cell: 4.97
Total DFT energy (no corrections), eV per atom: -7.17
Calculated formation energy, meV/atom: -383

Cell lengths 9.447, 9.447, 2.897 Å; angles 90.00, 90.00, 90.00 degrees
Space group P4/mbm (No. 127)
Unique sites:
Mg1 0.177 0.323 0.000 x4
Co1 0.000 0.000 0.000 x2
B1 0.126 0.626 0.000 x4
Ir1 0.000 0.500 0.500 x2
Ir2 0.071 0.786 0.500 x8